[1]
# Na2SiO12

A relaxed structure of Na2SiO12 (PBE, the Materials Project database).

- final energy (eV per cell) = -304.1
- DFT formation energy (eV/f.u.) = -8.58

a = 11.555 Å, b = 11.555 Å, c = 11.555 Å
α = 142.13°, β = 109.25°, γ = 83.16°
Element x y z (fractional)
Na (0.054, 0.735, 0.533)
Na (0.202, 0.235, 0.181)
Na (0.298, 0.479, 0.033)
Na (0.446, 0.979, 0.681)
Na (0.554, 0.021, 0.319)
Na (0.702, 0.521, 0.967)
Na (0.798, 0.765, 0.819)
Na (0.946, 0.265, 0.467)
Si (0.082, 0.750, 0.832)
Si (0.418, 0.250, 0.668)
Si (0.582, 0.750, 0.332)
Si (0.918, 0.250, 0.168)
O (0.028, 0.614, 0.223)
O (0.043, 0.403, 0.298)
O (0.087, 0.146, 0.787)
O (0.105, 0.903, 0.860)
O (0.109, 0.195, 0.723)
O (0.134, 0.048, 0.234)
O (0.136, 0.865, 0.078)
O (0.139, 0.283, 0.987)
O (0.141, 0.700, 0.287)
O (0.186, 0.452, 0.586)
O (0.204, 0.849, 0.487)
O (0.214, 0.635, 0.771)
O (0.286, 0.058, 0.422)
O (0.296, 0.783, 0.644)
O (0.314, 0.900, 0.266)
O (0.359, 0.646, 0.559)
O (0.361, 0.349, 0.144)
O (0.364, 0.442, 0.729)
O (0.366, 0.600, 0.914)
O (0.391, 0.114, 0.086)
O (0.395, 0.254, 0.798)
O (0.413, 0.200, 0.059)
O (0.457, 0.754, 0.360)
O (0.472, 0.695, 0.586)
O (0.528, 0.305, 0.414)
O (0.543, 0.246, 0.640)
O (0.587, 0.800, 0.941)
O (0.605, 0.746, 0.202)
O (0.609, 0.886, 0.914)
O (0.634, 0.400, 0.086)
O (0.636, 0.558, 0.271)
O (0.639, 0.651, 0.856)
O (0.641, 0.354, 0.441)
O (0.686, 0.100, 0.734)
O (0.704, 0.217, 0.356)
O (0.714, 0.942, 0.578)
O (0.786, 0.365, 0.229)
O (0.796, 0.151, 0.513)
O (0.814, 0.548, 0.414)
O (0.859, 0.300, 0.713)
O (0.861, 0.717, 0.013)
O (0.864, 0.135, 0.922)
O (0.866, 0.952, 0.766)
O (0.891, 0.805, 0.277)
O (0.895, 0.097, 0.140)
O (0.913, 0.854, 0.213)
O (0.957, 0.597, 0.702)
O (0.972, 0.386, 0.777)


[2]
# NaSi4O13

A relaxed structure of NaSi4O13 (PBE, the Materials Project database).

- final energy (eV per cell) = -443.1
- DFT formation energy (eV/f.u.) = -32.37

a = 19.523 Å, b = 19.523 Å, c = 19.523 Å
α = 157.55°, β = 157.55°, γ = 31.95°
Element x y z (fractional)
Na (0.000, 0.250, 0.750)
Na (0.000, 0.750, 0.250)
Na (0.250, 0.000, 0.250)
Na (0.750, 0.000, 0.750)
Si (0.081, 0.331, 0.162)
Si (0.081, 0.919, 0.750)
Si (0.114, 0.567, 0.547)
Si (0.331, 0.081, 0.662)
Si (0.331, 0.669, 0.250)
Si (0.433, 0.480, 0.547)
Si (0.433, 0.886, 0.953)
Si (0.480, 0.433, 0.047)
Si (0.520, 0.567, 0.953)
Si (0.567, 0.114, 0.047)
Si (0.567, 0.520, 0.453)
Si (0.669, 0.331, 0.750)
Si (0.669, 0.919, 0.338)
Si (0.886, 0.433, 0.453)
Si (0.919, 0.081, 0.250)
Si (0.919, 0.669, 0.838)
O (0.000, 0.284, 0.284)
O (0.000, 0.716, 0.716)
O (0.052, 0.468, 0.584)
O (0.061, 0.811, 0.250)
O (0.062, 0.312, 0.750)
O (0.102, 0.413, 0.334)
O (0.102, 0.768, 0.689)
O (0.109, 0.116, 0.993)
O (0.116, 0.109, 0.493)
O (0.116, 0.623, 0.007)
O (0.189, 0.939, 0.250)
O (0.232, 0.421, 0.334)
O (0.232, 0.898, 0.811)
O (0.284, 0.000, 0.784)
O (0.284, 0.500, 0.284)
O (0.304, 0.554, 0.750)
O (0.312, 0.062, 0.250)
O (0.377, 0.884, 0.493)
O (0.385, 0.468, 0.916)
O (0.413, 0.102, 0.834)
O (0.413, 0.579, 0.311)
O (0.421, 0.232, 0.834)
O (0.421, 0.587, 0.189)
O (0.446, 0.696, 0.750)
O (0.468, 0.052, 0.084)
O (0.468, 0.385, 0.416)
O (0.500, 0.284, 0.784)
O (0.500, 0.716, 0.216)
O (0.532, 0.615, 0.584)
O (0.532, 0.948, 0.916)
O (0.554, 0.304, 0.250)
O (0.579, 0.413, 0.811)
O (0.579, 0.768, 0.166)
O (0.587, 0.421, 0.689)
O (0.587, 0.898, 0.166)
O (0.615, 0.532, 0.084)
O (0.623, 0.116, 0.507)
O (0.688, 0.938, 0.750)
O (0.696, 0.446, 0.250)
O (0.716, 0.000, 0.216)
O (0.716, 0.500, 0.716)
O (0.768, 0.102, 0.189)
O (0.768, 0.579, 0.666)
O (0.811, 0.061, 0.750)
O (0.884, 0.377, 0.993)
O (0.884, 0.891, 0.507)
O (0.891, 0.884, 0.007)
O (0.898, 0.232, 0.311)
O (0.898, 0.587, 0.666)
O (0.938, 0.688, 0.250)
O (0.939, 0.189, 0.750)
O (0.948, 0.532, 0.416)


[3]
# Na2Si3O7

A relaxed structure of Na2Si3O7 (PBE, the Materials Project database).

- final energy (eV per cell) = -167.2
- DFT formation energy (eV/f.u.) = -34.85
- energy above the most stable polymorph in this dataset (meV per atom) = 73.6

a = 5.129 Å, b = 5.129 Å, c = 11.705 Å
α = 100.73°, β = 100.73°, γ = 57.14°
Element x y z (fractional)
Na (0.060, 0.647, 0.818)
Na (0.353, 0.940, 0.682)
Na (0.647, 0.060, 0.318)
Na (0.940, 0.353, 0.182)
Si (0.000, 0.500, 0.500)
Si (0.241, 0.673, 0.115)
Si (0.327, 0.759, 0.385)
Si (0.500, 0.000, 0.000)
Si (0.673, 0.241, 0.615)
Si (0.759, 0.327, 0.885)
O (0.090, 0.181, 0.963)
O (0.148, 0.852, 0.250)
O (0.181, 0.090, 0.463)
O (0.244, 0.510, 0.411)
O (0.297, 0.421, 0.627)
O (0.421, 0.297, 0.127)
O (0.490, 0.756, 0.089)
O (0.510, 0.244, 0.911)
O (0.579, 0.703, 0.873)
O (0.703, 0.579, 0.373)
O (0.756, 0.490, 0.589)
O (0.819, 0.910, 0.537)
O (0.852, 0.148, 0.750)
O (0.910, 0.819, 0.037)


[4]
# Na2SiO9

A relaxed structure of Na2SiO9 (PBE, the Materials Project database).

- final energy (eV per cell) = -127.7
- DFT formation energy (eV/f.u.) = -12.71

a = 6.338 Å, b = 5.949 Å, c = 10.372 Å
α = 90.00°, β = 94.51°, γ = 90.00°
Element x y z (fractional)
Na (0.083, 0.000, 0.432)
Na (0.407, 0.004, 0.180)
Na (0.593, 0.504, 0.820)
Na (0.917, 0.500, 0.568)
Si (0.281, 0.495, 0.321)
Si (0.719, 0.995, 0.679)
O (0.016, 0.920, 0.060)
O (0.130, 0.446, 0.870)
O (0.177, 0.372, 0.440)
O (0.213, 0.332, 0.200)
O (0.265, 0.761, 0.311)
O (0.316, 0.870, 0.871)
O (0.354, 0.760, 0.697)
O (0.385, 0.065, 0.862)
O (0.427, 0.952, 0.652)
O (0.573, 0.452, 0.348)
O (0.615, 0.565, 0.138)
O (0.646, 0.260, 0.303)
O (0.684, 0.370, 0.129)
O (0.735, 0.261, 0.689)
O (0.787, 0.832, 0.800)
O (0.823, 0.872, 0.560)
O (0.870, 0.946, 0.130)
O (0.984, 0.420, 0.940)


[5]
# Na6Si2O7

A relaxed structure of Na6Si2O7 (PBE, the Materials Project database).

- final energy (eV per cell) = -689.5
- DFT formation energy (eV/f.u.) = -37.57

a = 5.885 Å, b = 11.731 Å, c = 23.459 Å
α = 89.62°, β = 88.77°, γ = 88.79°
Element x y z (fractional)
Na (0.069, 0.236, 0.077)
Na (0.084, 0.782, 0.805)
Na (0.103, 0.293, 0.579)
Na (0.107, 0.789, 0.313)
Na (0.111, 0.503, 0.122)
Na (0.119, 0.520, 0.640)
Na (0.120, 0.018, 0.377)
Na (0.137, 0.025, 0.859)
Na (0.243, 0.526, 0.251)
Na (0.248, 0.038, 0.505)
Na (0.248, 0.994, 0.728)
Na (0.249, 0.528, 0.765)
Na (0.252, 0.017, 0.000)
Na (0.253, 0.475, 0.993)
Na (0.253, 0.992, 0.237)
Na (0.255, 0.491, 0.494)
Na (0.360, 0.770, 0.483)
Na (0.378, 0.725, 0.988)
Na (0.382, 0.259, 0.747)
Na (0.392, 0.251, 0.248)
Na (0.395, 0.847, 0.103)
Na (0.396, 0.875, 0.600)
Na (0.411, 0.379, 0.869)
Na (0.423, 0.353, 0.376)
Na (0.577, 0.647, 0.624)
Na (0.589, 0.621, 0.131)
Na (0.604, 0.125, 0.400)
Na (0.605, 0.153, 0.897)
Na (0.608, 0.749, 0.752)
Na (0.618, 0.741, 0.253)
Na (0.622, 0.275, 0.012)
Na (0.640, 0.230, 0.517)
Na (0.745, 0.509, 0.506)
Na (0.747, 0.008, 0.763)
Na (0.747, 0.525, 0.007)
Na (0.748, 0.983, 0.000)
Na (0.751, 0.472, 0.235)
Na (0.752, 0.006, 0.272)
Na (0.752, 0.962, 0.495)
Na (0.757, 0.474, 0.749)
Na (0.863, 0.975, 0.141)
Na (0.880, 0.982, 0.623)
Na (0.881, 0.480, 0.360)
Na (0.889, 0.497, 0.878)
Na (0.893, 0.211, 0.687)
Na (0.897, 0.707, 0.421)
Na (0.916, 0.218, 0.195)
Na (0.931, 0.764, 0.923)
Si (0.058, 0.746, 0.184)
Si (0.060, 0.748, 0.684)
Si (0.061, 0.250, 0.948)
Si (0.066, 0.247, 0.449)
Si (0.434, 0.606, 0.370)
Si (0.437, 0.108, 0.132)
Si (0.438, 0.629, 0.876)
Si (0.440, 0.125, 0.626)
Si (0.560, 0.875, 0.374)
Si (0.562, 0.371, 0.124)
Si (0.563, 0.892, 0.868)
Si (0.566, 0.394, 0.630)
Si (0.934, 0.753, 0.551)
Si (0.939, 0.750, 0.052)
Si (0.940, 0.252, 0.316)
Si (0.942, 0.254, 0.816)
O (0.007, 0.796, 0.118)
O (0.025, 0.358, 0.275)
O (0.035, 0.652, 0.509)
O (0.037, 0.291, 0.381)
O (0.043, 0.152, 0.774)
O (0.047, 0.848, 0.008)
O (0.058, 0.131, 0.294)
O (0.061, 0.626, 0.039)
O (0.073, 0.873, 0.542)
O (0.076, 0.374, 0.806)
O (0.158, 0.612, 0.362)
O (0.161, 0.642, 0.873)
O (0.163, 0.113, 0.629)
O (0.165, 0.092, 0.147)
O (0.334, 0.729, 0.188)
O (0.337, 0.757, 0.679)
O (0.338, 0.256, 0.950)
O (0.340, 0.227, 0.457)
O (0.414, 0.905, 0.809)
O (0.436, 0.428, 0.690)
O (0.438, 0.903, 0.313)
O (0.446, 0.415, 0.184)
O (0.446, 0.949, 0.427)
O (0.458, 0.242, 0.106)
O (0.469, 0.977, 0.919)
O (0.474, 0.479, 0.579)
O (0.483, 0.454, 0.071)
O (0.485, 0.263, 0.608)
O (0.515, 0.737, 0.392)
O (0.517, 0.546, 0.929)
O (0.526, 0.521, 0.421)
O (0.531, 0.023, 0.081)
O (0.542, 0.758, 0.894)
O (0.554, 0.051, 0.573)
O (0.554, 0.585, 0.816)
O (0.562, 0.097, 0.687)
O (0.564, 0.572, 0.310)
O (0.586, 0.095, 0.191)
O (0.660, 0.773, 0.543)
O (0.662, 0.744, 0.050)
O (0.663, 0.243, 0.321)
O (0.666, 0.271, 0.812)
O (0.835, 0.908, 0.853)
O (0.837, 0.887, 0.371)
O (0.839, 0.358, 0.127)
O (0.842, 0.388, 0.638)
O (0.924, 0.626, 0.194)
O (0.927, 0.127, 0.458)
O (0.939, 0.374, 0.961)
O (0.942, 0.869, 0.706)
O (0.953, 0.152, 0.992)
O (0.957, 0.848, 0.226)
O (0.963, 0.709, 0.619)
O (0.965, 0.348, 0.491)
O (0.975, 0.642, 0.725)
O (0.993, 0.204, 0.882)


[6]
# Na2Si2O5

A relaxed structure of Na2Si2O5 (PBE, the Materials Project database).

- final energy (eV per cell) = -243.0
- DFT formation energy (eV/f.u.) = -25.95
- energy above the most stable polymorph in this dataset (meV per atom) = 20.8

a = 9.536 Å, b = 5.651 Å, c = 8.464 Å
α = 90.00°, β = 90.00°, γ = 90.00°
Element x y z (fractional)
Na (0.011, 0.062, 0.000)
Na (0.246, 0.913, 0.775)
Na (0.254, 0.913, 0.275)
Na (0.489, 0.062, 0.500)
Na (0.511, 0.938, 0.000)
Na (0.746, 0.087, 0.775)
Na (0.754, 0.087, 0.275)
Na (0.989, 0.938, 0.500)
Si (0.047, 0.451, 0.271)
Si (0.192, 0.370, 0.578)
Si (0.308, 0.370, 0.078)
Si (0.453, 0.451, 0.771)
Si (0.547, 0.549, 0.271)
Si (0.692, 0.630, 0.578)
Si (0.808, 0.630, 0.078)
Si (0.953, 0.549, 0.771)
O (0.001, 0.819, 0.768)
O (0.080, 0.358, 0.730)
O (0.115, 0.542, 0.443)
O (0.172, 0.527, 0.141)
O (0.233, 0.109, 0.524)
O (0.267, 0.109, 0.024)
O (0.328, 0.527, 0.641)
O (0.385, 0.542, 0.943)
O (0.420, 0.358, 0.230)
O (0.499, 0.819, 0.268)
O (0.501, 0.181, 0.768)
O (0.580, 0.642, 0.730)
O (0.615, 0.458, 0.443)
O (0.672, 0.473, 0.141)
O (0.733, 0.891, 0.524)
O (0.767, 0.891, 0.024)
O (0.828, 0.473, 0.641)
O (0.885, 0.458, 0.943)
O (0.920, 0.642, 0.230)
O (0.999, 0.181, 0.268)


[7]
# NaSmSiO4

A relaxed structure of NaSmSiO4 (PBE, the Materials Project database).

- final energy (eV per cell) = -206.2
- DFT formation energy (eV/f.u.) = -23.05

a = 8.851 Å, b = 8.851 Å, c = 8.851 Å
α = 95.33°, β = 95.33°, γ = 144.52°
Element x y z (fractional)
Na (0.087, 0.393, 0.480)
Na (0.393, 0.913, 0.306)
Na (0.607, 0.087, 0.694)
Na (0.913, 0.607, 0.520)
Sm (0.122, 0.809, 0.930)
Sm (0.191, 0.122, 0.313)
Sm (0.809, 0.878, 0.687)
Sm (0.878, 0.191, 0.070)
Si (0.262, 0.598, 0.859)
Si (0.402, 0.262, 0.664)
Si (0.598, 0.738, 0.336)
Si (0.738, 0.402, 0.141)
O (0.050, 0.284, 0.846)
O (0.122, 0.603, 0.725)
O (0.203, 0.050, 0.766)
O (0.270, 0.305, 0.575)
O (0.284, 0.437, 0.234)
O (0.305, 0.730, 0.035)
O (0.397, 0.122, 0.518)
O (0.437, 0.203, 0.154)
O (0.563, 0.797, 0.846)
O (0.603, 0.878, 0.482)
O (0.695, 0.270, 0.965)
O (0.716, 0.563, 0.766)
O (0.730, 0.695, 0.425)
O (0.797, 0.950, 0.234)
O (0.878, 0.397, 0.275)
O (0.950, 0.716, 0.154)